A plane-wave DFT calculation with PBE-GGA was carried out for Na12Nb2Zn4Si3P6O36 after structural relaxation.

Its formation energy from the elements is -2596 meV per atom. The calculation puts the total moment at 0.0000 μB per atom.

Cell: 9.1501 9.1501 21.9337 Å, 90.00 90.00 120.00°
Sites, in units of the cell vectors:
Na1 0.6468 0.0142 0.2444
Na2 0.3673 0.3532 0.2444
Na3 0.9858 0.6327 0.2444
Na4 0.6468 0.6327 0.7444
Na5 0.9858 0.3532 0.7444
Na6 0.3673 0.0142 0.7444
Na7 0.2917 0.3378 0.5817
Na8 0.0462 0.7083 0.5817
Na9 0.6622 0.9538 0.5817
Na10 0.2917 0.9538 0.0817
Na11 0.6622 0.7083 0.0817
Na12 0.0462 0.3378 0.0817
Na13 0.9786 0.6925 0.9144
Na14 0.7139 0.0214 0.9144
Na15 0.3075 0.2861 0.9144
Na16 0.9786 0.2861 0.4144
Na17 0.3075 0.0214 0.4144
Na18 0.7139 0.6925 0.4144
Na19 0.0000 0.0000 0.4959
Na20 0.0000 0.0000 0.9959
Na21 0.6667 0.3333 0.8265
Na22 0.6667 0.3333 0.3265
Na23 0.3333 0.6667 0.1582
Na24 0.3333 0.6667 0.6582
Nb1 0.6667 0.3333 0.9789
Nb2 0.6667 0.3333 0.4789
Nb3 0.3333 0.6667 0.3176
Nb4 0.3333 0.6667 0.8176
Zn1 0.0000 0.0000 0.3497
Zn2 0.0000 0.0000 0.8497
Zn3 0.0000 0.0000 0.6542
Zn4 0.0000 0.0000 0.1542
Zn5 0.6667 0.3333 0.6784
Zn6 0.6667 0.3333 0.1784
Zn7 0.3333 0.6667 0.0095
Zn8 0.3333 0.6667 0.5095
Si1 0.6301 0.6682 0.9208
Si2 0.0382 0.3699 0.9208
Si3 0.3318 0.9618 0.9208
Si4 0.6301 0.9618 0.4208
Si5 0.3318 0.3699 0.4208
Si6 0.0382 0.6682 0.4208
P1 0.2970 0.9973 0.2500
P2 0.7002 0.7030 0.2500
P3 0.0027 0.2998 0.2500
P4 0.2970 0.2998 0.7500
P5 0.0027 0.7030 0.7500
P6 0.7002 0.9973 0.7500
P7 0.9611 0.3333 0.5858
P8 0.3722 0.0389 0.5858
P9 0.6667 0.6278 0.5858
P10 0.9611 0.6278 0.0858
P11 0.6667 0.0389 0.0858
P12 0.3722 0.3333 0.0858
O1 0.2166 0.0236 0.3070
O2 0.8070 0.7834 0.3070
O3 0.9764 0.1930 0.3070
O4 0.2166 0.1930 0.8070
O5 0.9764 0.7834 0.8070
O6 0.8070 0.0236 0.8070
O7 0.7737 0.9608 0.6921
O8 0.1871 0.2263 0.6921
O9 0.0392 0.8129 0.6921
O10 0.7737 0.8129 0.1921
O11 0.0392 0.2263 0.1921
O12 0.1871 0.9608 0.1921
O13 0.8778 0.3554 0.6436
O14 0.4776 0.1222 0.6436
O15 0.6446 0.5224 0.6436
O16 0.8778 0.5224 0.1436
O17 0.6446 0.1222 0.1436
O18 0.4776 0.3554 0.1436
O19 0.4763 0.3192 0.0290
O20 0.8430 0.5237 0.0290
O21 0.6808 0.1570 0.0290
O22 0.4763 0.1570 0.5290
O23 0.6808 0.5237 0.5290
O24 0.8430 0.3192 0.5290
O25 0.5530 0.7036 0.9806
O26 0.1505 0.4470 0.9806
O27 0.2964 0.8495 0.9806
O28 0.5530 0.8495 0.4806
O29 0.2964 0.4470 0.4806
O30 0.1505 0.7036 0.4806
O31 0.1347 0.6321 0.3611
O32 0.4974 0.8653 0.3611
O33 0.3679 0.5026 0.3611
O34 0.1347 0.5026 0.8611
O35 0.3679 0.8653 0.8611
O36 0.4974 0.6321 0.8611
O37 0.0060 0.8232 0.4103
O38 0.8171 0.9940 0.4103
O39 0.1768 0.1829 0.4103
O40 0.0060 0.1829 0.9103
O41 0.1768 0.9940 0.9103
O42 0.8171 0.8232 0.9103
O43 0.9653 0.1667 0.5830
O44 0.2014 0.0347 0.5830
O45 0.8333 0.7986 0.5830
O46 0.9653 0.7986 0.0830
O47 0.8333 0.0347 0.0830
O48 0.2014 0.1667 0.0830
O49 0.6722 0.1509 0.7462
O50 0.4788 0.3278 0.7462
O51 0.8491 0.5212 0.7462
O52 0.6722 0.5212 0.2462
O53 0.8491 0.3278 0.2462
O54 0.4788 0.1509 0.2462
O55 0.6332 0.4866 0.9226
O56 0.8534 0.3668 0.9226
O57 0.5134 0.1466 0.9226
O58 0.6332 0.1466 0.4226
O59 0.5134 0.3668 0.4226
O60 0.8534 0.4866 0.4226
O61 0.3544 0.4909 0.0819
O62 0.1365 0.6456 0.0819
O63 0.5091 0.8635 0.0819
O64 0.3544 0.8635 0.5819
O65 0.5091 0.6456 0.5819
O66 0.1365 0.4909 0.5819
O67 0.3135 0.8310 0.2557
O68 0.5175 0.6865 0.2557
O69 0.1690 0.4825 0.2557
O70 0.3135 0.4825 0.7557
O71 0.1690 0.6865 0.7557
O72 0.5175 0.8310 0.7557